A plane-wave DFT calculation with r²SCAN was carried out for a relaxed structure of Co7Ge4.

Cell and atoms, written as CIF:
```
data_Co7Ge4
_symmetry_space_group_name_H-M 'P 1'
_symmetry_Int_Tables_number 1
_symmetry_space_group_name_Hall 'P 1'
_cell_length_a 3.949
_cell_length_b 3.949
_cell_length_c 9.952
_cell_angle_alpha 90.00
_cell_angle_beta 90.00
_cell_angle_gamma 120.00
loop_
_atom_site_label
_atom_site_fract_x
_atom_site_fract_y
_atom_site_fract_z
Ge1 0.333 0.667 0.500
Co1 0.000 0.000 0.882
Co2 0.667 0.333 0.500
Ge2 0.333 0.667 0.000
Co3 0.000 0.000 0.629
Co4 0.333 0.667 0.768
Co5 0.000 0.000 0.371
Co6 0.000 0.000 0.118
Ge3 0.667 0.333 0.739
Ge4 0.667 0.333 0.261
Co7 0.333 0.667 0.232
```

Uncorrected energy in eV per atom: -13.44
Mass density in g cm⁻³: 8.7
Space-group type: P-6m2, No. 187
DFT formation energy in meV per atom: 21